Record 1
A relaxed structure of NbAlP2SO12. Source: Materials Project, functional GGA-PBE.

Results
total energy: -7.4056 eV/atom

Lattice parameters (Å, degrees): 8.572 8.608 22.072 89.91 90.00 119.86
Fractional coordinates of all 102 atoms:
1 Nb 0.993 0.004 0.639
2 Nb 0.011 0.004 0.139
3 Nb 0.660 0.338 0.973
4 Nb 0.678 0.338 0.473
5 Nb 0.326 0.671 0.306
6 Nb 0.345 0.671 0.806
7 Al 0.000 0.004 0.356
8 Al 0.004 0.004 0.856
9 Al 0.667 0.338 0.689
10 Al 0.671 0.338 0.189
11 Al 0.333 0.671 0.022
12 Al 0.338 0.671 0.522
13 P 0.295 0.026 0.252
14 P 0.980 0.270 0.252
15 P 0.290 0.270 0.752
16 P 0.731 0.026 0.752
17 P 0.962 0.359 0.585
18 P 0.646 0.603 0.585
19 P 0.957 0.603 0.085
20 P 0.397 0.359 0.085
21 P 0.628 0.692 0.919
22 P 0.313 0.937 0.919
23 P 0.624 0.937 0.419
24 P 0.064 0.692 0.419
25 S 0.723 0.708 0.251
26 S 0.985 0.708 0.751
27 S 0.390 0.042 0.584
28 S 0.652 0.042 0.084
29 S 0.057 0.375 0.918
30 S 0.318 0.375 0.418
31 O 0.200 0.045 0.307
32 O 0.832 0.792 0.305
33 O 0.956 0.155 0.307
34 O 0.200 0.155 0.807
35 O 0.960 0.792 0.805
36 O 0.845 0.045 0.807
37 O 0.804 0.976 0.694
38 O 0.168 0.189 0.695
39 O 0.028 0.822 0.696
40 O 0.794 0.822 0.196
41 O 0.021 0.189 0.195
42 O 0.172 0.976 0.194
43 O 0.867 0.378 0.640
44 O 0.499 0.125 0.638
45 O 0.622 0.489 0.641
46 O 0.866 0.489 0.141
47 O 0.626 0.125 0.138
48 O 0.512 0.378 0.140
49 O 0.471 0.310 0.027
50 O 0.834 0.522 0.028
51 O 0.694 0.155 0.029
52 O 0.461 0.155 0.529
53 O 0.688 0.522 0.528
54 O 0.838 0.310 0.527
55 O 0.534 0.712 0.973
56 O 0.166 0.459 0.971
57 O 0.289 0.822 0.974
58 O 0.533 0.822 0.474
59 O 0.293 0.459 0.471
60 O 0.178 0.712 0.473
61 O 0.138 0.643 0.361
62 O 0.501 0.856 0.361
63 O 0.361 0.488 0.363
64 O 0.128 0.488 0.863
65 O 0.355 0.856 0.861
66 O 0.505 0.643 0.861
67 O 0.041 0.851 0.405
68 O 0.808 0.963 0.406
69 O 0.161 0.198 0.409
70 O 0.038 0.198 0.909
71 O 0.155 0.963 0.906
72 O 0.810 0.851 0.905
73 O 0.979 0.184 0.592
74 O 0.205 0.019 0.592
75 O 0.823 0.793 0.593
76 O 0.970 0.793 0.093
77 O 0.814 0.019 0.092
78 O 0.205 0.184 0.092
79 O 0.707 0.184 0.739
80 O 0.475 0.297 0.739
81 O 0.827 0.532 0.742
82 O 0.704 0.532 0.242
83 O 0.822 0.297 0.239
84 O 0.477 0.184 0.239
85 O 0.645 0.517 0.925
86 O 0.871 0.352 0.925
87 O 0.489 0.126 0.927
88 O 0.637 0.126 0.427
89 O 0.481 0.352 0.425
90 O 0.872 0.517 0.425
91 O 0.374 0.518 0.072
92 O 0.141 0.630 0.073
93 O 0.494 0.865 0.075
94 O 0.371 0.865 0.575
95 O 0.489 0.630 0.573
96 O 0.144 0.518 0.572
97 O 0.312 0.851 0.258
98 O 0.538 0.685 0.258
99 O 0.156 0.459 0.260
100 O 0.303 0.459 0.760
101 O 0.147 0.685 0.758
102 O 0.539 0.851 0.758

***

Record 2
A relaxed structure of K3AsBr6. Source: Materials Project, functional GGA-PBE.

Results
total energy: -2.9518 eV/atom

Lattice parameters (Å, degrees): 8.170 8.170 8.170 60.00 60.00 60.00
Fractional coordinates of all 10 atoms:
1 K 0.750 0.750 0.750
2 K 0.250 0.250 0.250
3 K 0.500 0.500 0.500
4 As 0.000 0.000 0.000
5 Br 0.770 0.230 0.230
6 Br 0.230 0.230 0.770
7 Br 0.230 0.770 0.770
8 Br 0.230 0.770 0.230
9 Br 0.770 0.230 0.770
10 Br 0.770 0.770 0.230

***

Record 3
A relaxed structure of Dy11In9Ni4. Source: Materials Project, functional GGA-PBE.

Results
total energy: -4.6191 eV/atom

Lattice parameters (Å, degrees): 3.593 12.943 12.943 111.25 90.00 90.00
Fractional coordinates of all 24 atoms:
1 Dy 0.000 0.923 0.582
2 Dy 0.000 0.077 0.418
3 Dy 0.000 0.582 0.923
4 Dy 0.000 0.418 0.077
5 Dy 0.000 0.159 0.841
6 Dy 0.000 0.841 0.159
7 Dy 0.000 0.375 0.625
8 Dy 0.000 0.625 0.375
9 Dy 0.000 0.687 0.687
10 Dy 0.000 0.313 0.313
11 Dy 0.000 0.000 0.000
12 In 0.500 0.159 0.632
13 In 0.500 0.841 0.368
14 In 0.500 0.632 0.159
15 In 0.500 0.368 0.841
16 In 0.500 0.922 0.780
17 In 0.500 0.078 0.220
18 In 0.500 0.780 0.922
19 In 0.500 0.220 0.078
20 In 0.500 0.500 0.500
21 Ni 0.500 0.750 0.550
22 Ni 0.500 0.250 0.450
23 Ni 0.500 0.550 0.750
24 Ni 0.500 0.450 0.250

***

Record 4
A relaxed structure of YMgAu. Source: Materials Project, functional GGA-PBE.

Results
total energy: -4.4756 eV/atom

Lattice parameters (Å, degrees): 7.731 7.731 3.991 90.00 90.00 120.00
Fractional coordinates of all 9 atoms:
1 Y 0.589 0.000 0.000
2 Y 0.000 0.589 0.000
3 Y 0.411 0.411 0.000
4 Mg 0.250 0.000 0.500
5 Mg 0.000 0.250 0.500
6 Mg 0.750 0.750 0.500
7 Au 0.333 0.667 0.500
8 Au 0.667 0.333 0.500
9 Au 0.000 0.000 0.000

***

Record 5
A relaxed structure of KBiP4O12. Source: Materials Project, functional GGA-PBE.

Results
total energy: -6.8721 eV/atom

Lattice parameters (Å, degrees): 9.128 10.620 12.968 54.03 90.00 90.00
Fractional coordinates of all 72 atoms:
1 K 0.928 0.248 0.046
2 K 0.572 0.248 0.546
3 K 0.428 0.752 0.454
4 K 0.072 0.752 0.954
5 Bi 0.225 0.185 0.315
6 Bi 0.775 0.815 0.685
7 Bi 0.725 0.815 0.185
8 Bi 0.275 0.185 0.815
9 P 0.106 0.304 0.517
10 P 0.976 0.481 0.266
11 P 0.894 0.696 0.483
12 P 0.671 0.183 0.857
13 P 0.829 0.183 0.357
14 P 0.524 0.481 0.766
15 P 0.606 0.696 0.983
16 P 0.171 0.817 0.643
17 P 0.406 0.884 0.760
18 P 0.094 0.884 0.260
19 P 0.906 0.116 0.740
20 P 0.476 0.519 0.234
21 P 0.394 0.304 0.017
22 P 0.024 0.519 0.734
23 P 0.329 0.817 0.143
24 P 0.594 0.116 0.240
25 O 0.153 0.648 0.671
26 O 0.205 0.772 0.250
27 O 0.035 0.861 0.681
28 O 0.318 0.011 0.748
29 O 0.547 0.537 0.111
30 O 0.465 0.070 0.327
31 O 0.453 0.463 0.889
32 O 0.763 0.079 0.487
33 O 0.965 0.930 0.173
34 O 0.295 0.772 0.750
35 O 0.548 0.243 0.094
36 O 0.348 0.195 0.985
37 O 0.035 0.070 0.827
38 O 0.847 0.352 0.329
39 O 0.535 0.139 0.819
40 O 0.965 0.139 0.319
41 O 0.535 0.930 0.673
42 O 0.913 0.559 0.798
43 O 0.952 0.243 0.594
44 O 0.091 0.360 0.817
45 O 0.953 0.537 0.611
46 O 0.653 0.352 0.829
47 O 0.795 0.228 0.750
48 O 0.788 0.657 0.417
49 O 0.263 0.921 0.013
50 O 0.737 0.079 0.987
51 O 0.591 0.640 0.683
52 O 0.682 0.989 0.252
53 O 0.048 0.757 0.406
54 O 0.652 0.805 0.015
55 O 0.413 0.441 0.702
56 O 0.212 0.343 0.583
57 O 0.587 0.559 0.298
58 O 0.288 0.343 0.083
59 O 0.347 0.648 0.171
60 O 0.237 0.921 0.513
61 O 0.712 0.657 0.917
62 O 0.409 0.360 0.317
63 O 0.047 0.463 0.389
64 O 0.087 0.441 0.202
65 O 0.818 0.989 0.752
66 O 0.705 0.228 0.250
67 O 0.182 0.011 0.248
68 O 0.465 0.861 0.181
69 O 0.909 0.640 0.183
70 O 0.452 0.757 0.906
71 O 0.152 0.195 0.485
72 O 0.848 0.805 0.515

***

Record 6
A relaxed structure of Ba2LiB10O19. Source: Materials Project, functional GGA-PBE.

Results
total energy: -7.5506 eV/atom

Lattice parameters (Å, degrees): 6.834 11.588 11.600 61.01 73.61 73.98
Fractional coordinates of all 64 atoms:
1 Ba 0.824 0.481 0.876
2 Ba 0.176 0.519 0.124
3 Ba 0.332 0.965 0.389
4 Ba 0.668 0.035 0.611
5 Li 0.685 0.361 0.600
6 Li 0.315 0.639 0.400
7 B 0.014 0.781 0.855
8 B 0.986 0.219 0.145
9 B 0.181 0.631 0.638
10 B 0.819 0.369 0.362
11 B 0.512 0.794 0.142
12 B 0.488 0.206 0.858
13 B 0.982 0.812 0.254
14 B 0.018 0.188 0.746
15 B 0.378 0.807 0.804
16 B 0.622 0.193 0.196
17 B 0.876 0.001 0.310
18 B 0.124 0.999 0.690
19 B 0.565 0.640 0.567
20 B 0.435 0.360 0.433
21 B 0.358 0.278 0.036
22 B 0.642 0.722 0.964
23 B 0.109 0.238 0.506
24 B 0.891 0.762 0.494
25 B 0.420 0.454 0.795
26 B 0.580 0.546 0.205
27 O 0.423 0.408 0.936
28 O 0.577 0.592 0.064
29 O 0.089 0.096 0.554
30 O 0.911 0.904 0.446
31 O 0.027 0.725 0.383
32 O 0.973 0.275 0.617
33 O 0.491 0.338 0.761
34 O 0.509 0.662 0.239
35 O 0.879 0.694 0.933
36 O 0.121 0.306 0.067
37 O 0.025 0.098 0.252
38 O 0.975 0.902 0.748
39 O 0.426 0.174 0.991
40 O 0.574 0.826 0.009
41 O 0.570 0.549 0.710
42 O 0.430 0.451 0.290
43 O 0.342 0.694 0.544
44 O 0.658 0.306 0.456
45 O 0.898 0.942 0.220
46 O 0.102 0.058 0.780
47 O 0.571 0.769 0.835
48 O 0.429 0.231 0.165
49 O 0.213 0.525 0.759
50 O 0.787 0.475 0.241
51 O 0.973 0.255 0.822
52 O 0.027 0.745 0.178
53 O 0.980 0.672 0.616
54 O 0.020 0.328 0.384
55 O 0.673 0.753 0.513
56 O 0.327 0.247 0.487
57 O 0.661 0.083 0.316
58 O 0.339 0.917 0.684
59 O 0.785 0.262 0.112
60 O 0.215 0.738 0.888
61 O 0.443 0.882 0.197
62 O 0.557 0.118 0.803
63 O 0.656 0.553 0.502
64 O 0.344 0.447 0.498

***

Record 7
A relaxed structure of BaMo6S8. Source: Materials Project, functional GGA-PBE.

Results
total energy: -7.5684 eV/atom

Lattice parameters (Å, degrees): 6.659 6.732 6.795 89.11 89.25 87.91
Fractional coordinates of all 15 atoms:
1 Ba 0.000 0.000 0.000
2 Mo 0.567 0.417 0.233
3 Mo 0.433 0.583 0.767
4 Mo 0.418 0.234 0.564
5 Mo 0.582 0.766 0.436
6 Mo 0.242 0.564 0.420
7 Mo 0.758 0.436 0.580
8 S 0.261 0.246 0.252
9 S 0.739 0.754 0.748
10 S 0.392 0.730 0.126
11 S 0.608 0.270 0.874
12 S 0.734 0.123 0.387
13 S 0.266 0.877 0.613
14 S 0.126 0.392 0.733
15 S 0.874 0.608 0.267

***

Record 8
A relaxed structure of ScTaOs2. Source: Materials Project, functional GGA-PBE.

Results
total energy: -10.6935 eV/atom

Lattice parameters (Å, degrees): 4.521 4.521 4.521 60.00 60.00 60.00
Fractional coordinates of all 4 atoms:
1 Sc 0.000 0.000 0.000
2 Ta 0.500 0.500 0.500
3 Os 0.750 0.750 0.750
4 Os 0.250 0.250 0.250

***

Number 1: formation energy -2.70 eV/atom. Number 2: formation energy -1.49 eV/atom. Number 3: formation energy -0.51 eV/atom. Number 4: formation energy -0.70 eV/atom. Number 5: formation energy -2.55 eV/atom. Number 6: formation energy -2.75 eV/atom. Number 7: formation energy -1.16 eV/atom. Number 8: formation energy -0.53 eV/atom.